Entry 1:
Density functional theory data (PBE-GGA) for Y3Co after structural relaxation.

Geometry as extended XYZ:
```
16
Lattice="-3.563 -4.810 2.010 5.650 -4.158 0.065 1.722 2.480 8.989" Properties=species:S:1:pos:R:3 pbc="T T T"
Y 0.485 -1.404 0.968
Y 1.114 -0.498 4.252
Y 0.429 -5.791 4.016
Y 1.035 -2.282 9.761
Y 5.403 -3.861 7.533
Co 1.013 -3.170 3.181
Y 3.381 -0.698 7.047
Co 2.797 -3.318 7.882
Y 3.325 -5.084 10.095
Y 0.406 -3.188 6.477
Co 5.280 -3.303 2.401
Y 2.775 -4.206 1.303
Co -1.470 -3.185 8.663
Y -1.593 -2.627 3.531
Y 3.404 -3.300 4.586
Y 2.696 -5.990 6.812
```

ΔH_f (0 K): -144 meV per atom
Space-group type: Pnma (62)

---

Entry 2:
Density functional theory data (PBE-GGA) for Sc6Al16Rh7 after structural relaxation.

Geometry as extended XYZ:
```
29
Lattice="-6.196 -6.196 0.000 -6.196 0.000 -6.196 0.000 -6.196 -6.196" Properties=species:S:1:pos:R:3 pbc="T T T"
Sc -6.196 -6.196 -8.729
Rh -6.196 -3.098 -3.098
Al -10.913 -7.674 -7.674
Al -2.073 -2.073 -4.122
Sc -6.196 -6.196 -3.662
Al -4.717 -1.478 -4.717
Al -8.269 -8.269 -8.269
Al -4.122 -2.073 -2.073
Al -7.674 -7.674 -10.913
Al -2.073 -4.122 -2.073
Sc -8.729 -6.196 -6.196
Rh -3.098 -3.098 -6.196
Al -7.674 -10.913 -7.674
Rh -3.098 -6.196 -3.098
Al -10.318 -10.318 -8.269
Sc -6.196 -8.729 -6.196
Rh -3.098 -3.098 0.000
Sc -3.662 -6.196 -6.196
Al -1.478 -4.717 -4.717
Al -4.717 -4.717 -1.478
Al -10.318 -8.269 -10.318
Rh 0.000 0.000 0.000
Al -10.913 -10.913 -10.913
Al -4.122 -4.122 -4.122
Sc -6.196 -3.662 -6.196
Al -8.269 -10.318 -10.318
Rh -3.098 0.000 -3.098
Rh 0.000 -3.098 -3.098
Al -1.478 -1.478 -1.478
```

Total magnetic moment: 0.00 μB/cell
ΔH_f (0 K): -829 meV per atom
Space-group type: Fm-3m (225)

---

Entry 3:
Density functional theory data (PBE-GGA) for MgS8O20F8 after structural relaxation.

Geometry as extended XYZ:
```
37
Lattice="-4.313 5.422 4.054 2.481 -3.206 6.928 7.733 6.109 0.057" Properties=species:S:1:pos:R:3 pbc="T T T"
F 0.792 0.598 6.200
F 6.453 6.033 4.084
O 3.349 7.060 2.068
O -0.592 3.947 2.038
O 3.690 7.041 4.466
F 1.112 5.180 8.932
O 5.913 4.208 6.600
S 1.860 -0.294 7.614
S 2.790 6.504 3.515
O 4.808 9.762 3.136
O 8.806 4.656 7.961
S -1.618 4.148 3.383
F 5.568 7.126 7.001
O -1.370 5.450 3.930
O 0.604 -0.765 2.249
S 0.664 4.921 7.449
F 5.681 1.966 7.462
O 1.770 1.870 3.705
O 3.188 -0.350 7.079
O 3.999 6.998 9.223
O 1.493 5.699 6.602
Mg -0.916 1.108 5.491
F -1.010 2.893 4.794
O -2.416 2.997 8.733
O 0.430 3.531 7.306
F 1.463 7.342 3.586
S 3.176 1.776 3.575
O 4.117 2.396 4.436
S 7.104 4.748 2.720
O 3.468 0.157 3.481
O 7.409 3.270 3.510
O 5.985 4.553 1.846
S 4.456 8.047 8.361
O 2.435 5.135 3.412
O 3.758 3.420 7.630
F 3.546 2.163 2.098
S 5.173 3.450 7.540
```

Total magnetic moment: 2.00 μB/cell
ΔH_f (0 K): -1766 meV per atom
E above lowest polymorph: 0.094 eV per atom
Space-group type: P-4 (81)

---

Entry 4:
Density functional theory data (PBE-GGA) for UAl2Cu after structural relaxation.

Geometry as extended XYZ:
```
4
Lattice="-3.826 -2.391 1.302 -2.753 1.658 3.425 -4.271 1.667 -1.019" Properties=species:S:1:pos:R:3 pbc="T T T"
Al -8.137 0.700 2.781
Al -2.712 0.233 0.927
U 0.000 0.000 0.000
Cu -5.425 0.467 1.854
```

Total magnetic moment: 0.37 μB/cell
ΔH_f (0 K): 269 meV per atom
Space-group type: Fm-3m (225)

---

Entry 5:
Density functional theory data (PBE-GGA) for TbMn4Al8 after structural relaxation.

Geometry as extended XYZ:
```
13
Lattice="0.000 0.000 5.151 -4.394 4.394 2.575 -4.394 -4.394 2.575" Properties=species:S:1:pos:R:3 pbc="T T T"
Mn -2.197 -2.197 1.288
Al -4.394 -2.415 5.151
Al -4.394 2.415 5.151
Al -4.394 1.436 2.575
Al -1.980 0.000 2.575
Mn -2.197 -2.197 3.863
Al -6.809 0.000 7.726
Al -5.830 0.000 5.151
Al -2.959 0.000 5.151
Al -4.394 -1.436 2.575
Mn -2.197 2.197 1.288
Mn -2.197 2.197 3.863
Tb 0.000 0.000 0.000
```

Total magnetic moment: 7.48 μB/cell
ΔH_f (0 K): -342 meV per atom
Space-group type: I4/mmm (139)

---

Entry 6:
Density functional theory data (PBE-GGA) for Sr3Sb3N5 after structural relaxation.

Geometry as extended XYZ:
```
22
Lattice="6.091 0.002 0.257 -0.707 7.390 0.302 -1.678 -2.651 10.380" Properties=species:S:1:pos:R:3 pbc="T T T"
Sb 4.441 1.368 2.733
Sb 3.037 0.281 9.988
N -0.353 3.417 10.232
Sr 0.439 3.392 5.152
N -0.974 0.212 9.992
N 3.004 3.797 5.346
Sb 0.669 4.459 0.951
Sb 1.008 -0.442 4.129
N 2.872 0.106 3.299
N 0.702 0.943 5.593
Sr 2.166 3.958 10.034
Sb -0.735 3.372 8.206
N -0.239 -0.127 2.493
N 0.834 4.635 7.639
Sr 1.539 0.783 0.905
N 3.944 4.868 8.446
Sr 0.207 -0.496 7.726
N 4.059 1.324 0.707
Sr 3.498 5.237 3.213
N 4.680 4.528 0.947
Sr 3.267 1.349 5.787
Sb 2.698 5.182 6.810
```

Total magnetic moment: 0.00 μB/cell
ΔH_f (0 K): -452 meV per atom
Space-group type: P-1 (2)

---

Please write out number 4 again, unchanged.
Density functional theory data (PBE-GGA) for UAl2Cu after structural relaxation.

Geometry as extended XYZ:
```
4
Lattice="-3.826 -2.391 1.302 -2.753 1.658 3.425 -4.271 1.667 -1.019" Properties=species:S:1:pos:R:3 pbc="T T T"
Al -8.137 0.700 2.781
Al -2.712 0.233 0.927
U 0.000 0.000 0.000
Cu -5.425 0.467 1.854
```

Total magnetic moment: 0.37 μB/cell
ΔH_f (0 K): 269 meV per atom
Space-group type: Fm-3m (225)